The following is a DFT calculation (PBE-GGA) of crystalline Ba17SrSm12Cl68 at its relaxed geometry.

Structure (POSCAR):
```
Ba17SrSm12Cl68
1.0
11.3138 0.0000 0.0000
0.0000 11.3138 0.0000
0.0000 0.0000 21.6473
Cl Sm Sr Ba
68 12 1 17
Cartesian
6.6553 8.0871 12.5623 Cl
10.5091 2.3670 13.4475 Cl
1.5752 3.1176 10.8236 Cl
2.3670 0.8047 8.1998 Cl
8.9592 0.9649 1.6815 Cl
6.6553 8.0871 9.0850 Cl
0.8047 8.9468 8.1998 Cl
7.2238 8.7718 0.0000 Cl
8.0350 6.4724 2.6138 Cl
0.0000 5.6569 20.0134 Cl
6.6548 7.8219 16.0372 Cl
4.8414 8.0350 2.6138 Cl
3.4920 6.6548 16.0372 Cl
8.1963 1.5752 10.8236 Cl
3.1176 9.7386 10.8236 Cl
5.6569 0.0000 20.0134 Cl
10.3489 8.9592 1.6815 Cl
4.6585 3.2267 12.5623 Cl
5.6569 0.0000 9.1893 Cl
2.5420 7.2238 0.0000 Cl
3.2789 4.8414 19.0335 Cl
6.6548 7.8219 5.6101 Cl
10.3489 8.9592 19.9658 Cl
5.6569 0.0000 12.4580 Cl
0.9649 2.3546 1.6815 Cl
5.6569 0.0000 16.2397 Cl
8.0350 6.4724 19.0335 Cl
4.0900 2.5420 0.0000 Cl
0.0000 5.6569 12.4580 Cl
0.9971 2.1651 5.2025 Cl
5.6569 0.0000 1.6339 Cl
4.8414 8.0350 19.0335 Cl
3.2267 6.6553 9.0850 Cl
7.8219 4.6590 16.0372 Cl
8.9592 0.9649 19.9658 Cl
2.1651 10.3167 16.4448 Cl
2.1651 10.3167 5.2025 Cl
6.4724 3.2789 19.0335 Cl
0.0000 5.6569 5.4076 Cl
4.6590 3.4920 5.6101 Cl
8.0871 4.6585 9.0850 Cl
7.8219 4.6590 5.6101 Cl
10.5091 2.3670 8.1998 Cl
10.3167 9.1487 5.2025 Cl
0.0000 5.6569 16.2397 Cl
2.3670 0.8047 13.4475 Cl
4.6585 3.2267 9.0850 Cl
9.1487 0.9971 16.4448 Cl
2.3546 10.3489 1.6815 Cl
9.1487 0.9971 5.2025 Cl
10.3167 9.1487 16.4448 Cl
6.4724 3.2789 2.6138 Cl
3.4920 6.6548 5.6101 Cl
0.0000 5.6569 1.6339 Cl
2.3546 10.3489 19.9658 Cl
8.9468 10.5091 13.4475 Cl
8.7718 4.0900 0.0000 Cl
3.2789 4.8414 2.6138 Cl
8.0871 4.6585 12.5623 Cl
0.9649 2.3546 19.9658 Cl
0.8047 8.9468 13.4475 Cl
3.2267 6.6553 12.5623 Cl
0.9971 2.1651 16.4448 Cl
9.7386 8.1963 10.8236 Cl
8.9468 10.5091 8.1998 Cl
4.6590 3.4920 16.0372 Cl
0.0000 5.6569 9.1893 Cl
5.6569 0.0000 5.4076 Cl
10.1042 3.6231 10.8236 Sm
1.2096 7.6908 10.8236 Sm
2.0256 4.4231 0.0000 Sm
7.6908 10.1042 10.8236 Sm
4.4231 9.2883 0.0000 Sm
3.6231 1.2096 10.8236 Sm
5.6569 5.6569 17.6149 Sm
9.2883 6.8907 0.0000 Sm
0.0000 0.0000 6.7906 Sm
0.0000 0.0000 14.8567 Sm
6.8907 2.0256 0.0000 Sm
5.6569 5.6569 4.0324 Sm
0.0000 0.0000 0.0000 Sr
2.0707 4.1090 7.4072 Ba
3.5714 1.5424 3.4012 Ba
7.7425 9.7714 18.2460 Ba
4.1090 9.2431 7.4072 Ba
9.7714 3.5714 18.2460 Ba
3.5714 1.5424 18.2460 Ba
5.6569 5.6569 10.8236 Ba
9.2431 7.2048 14.2401 Ba
1.5424 7.7425 18.2460 Ba
2.0707 4.1090 14.2401 Ba
7.7425 9.7714 3.4012 Ba
7.2048 2.0707 7.4072 Ba
9.7714 3.5714 3.4012 Ba
1.5424 7.7425 3.4012 Ba
7.2048 2.0707 14.2401 Ba
9.2431 7.2048 7.4072 Ba
4.1090 9.2431 14.2401 Ba
```

**Uncorrected energy**: -449.47 eV/f.u.
**Total magnetic moment**: 4.00 Bohr magnetons per cell


The following is a DFT calculation (PBE-GGA) of crystalline NaSbS2 at its relaxed geometry.

Structure (POSCAR):
```
NaSbS2
1.0
2.7941 6.4344 0.0000
-2.7941 6.4344 0.0000
0.0000 2.5825 5.3518
S Sb Na
4 2 2
Cartesian
0.0000 5.6162 1.9671 S
0.0000 2.0134 1.0175 S
0.0000 13.4379 4.3343 S
0.0000 9.8351 3.3847 S
0.0000 12.2384 2.1972 Sb
0.0000 3.2128 3.1546 Sb
0.0000 8.4099 0.7249 Na
0.0000 7.0414 4.6269 Na
```

**Uncorrected energy**: -16.35 eV/f.u.
**Total magnetic moment**: 0.00 Bohr magnetons per cell